DFT (PBE-GGA) results for a relaxed Ni3Sb2Te2 crystal.

a = 6.469 Å, b = 6.469 Å, c = 6.743 Å
α = 120.56°, β = 120.56°, γ = 35.65°
Positions (direct):
Ni (0.000, 0.000, 0.000)
Ni (0.250, 0.250, 0.261)
Ni (0.508, 0.508, 0.527)
Sb (0.127, 0.127, 0.797)
Sb (0.624, 0.624, 0.299)
Te (0.383, 0.383, 0.734)
Te (0.882, 0.882, 0.227)

Properties
As for the space group: Cm (8). The calculation puts the electronic total energy at -33.455 eV for the cell shown. Its energy of formation from the pure elements is -345 meV per atom.